1.
# Ba2CdP4H6O16, relaxed, DFT PBE
# mass density	3.671	g/cm³
# E_form	-2.40	eV per atom
data_Ba2CdP4H6O16
_cell_length_a 5.5083
_cell_length_b 10.4292
_cell_length_c 12.3690
_cell_angle_alpha 90.00
_cell_angle_beta 100.23
_cell_angle_gamma 90.00
_symmetry_space_group_name_H-M 'P 1 21/c 1'
_symmetry_Int_Tables_number 14
loop_
_symmetry_equiv_pos_as_xyz
'x,y,z'
'-x,-y,-z'
'-x,y+1/2,-z+1/2'
'x,-y+1/2,z+1/2'
loop_
_atom_site_label
_atom_site_fract_x
_atom_site_fract_y
_atom_site_fract_z
_atom_site_occupancy
Ba1 0.1409 0.1530 0.3197 1
Cd1 0.0000 0.0000 0.0000 1
P1 0.2361 0.6955 0.9459 1
P2 0.4121 0.0084 0.8017 1
H1 0.2896 0.5340 0.0622 1
H2 0.3814 0.6749 0.7532 1
H3 0.4364 0.1851 0.0580 1
O1 0.0708 0.7288 0.5098 1
O2 0.1674 0.6997 0.8209 1
O3 0.1712 0.0086 0.8478 1
O4 0.2360 0.5480 0.9791 1
O5 0.3679 0.0591 0.1232 1
O6 0.3726 0.5549 0.1873 1
O7 0.4789 0.1568 0.7893 1
O8 0.4804 0.2344 0.5186 1



2.
# Ba20Cd4Hg99, relaxed, DFT PBE
# mass density	10.650	g/cm³
# E_form	-0.31	eV per atom
data_Ba20Cd4Hg99
_cell_length_a 24.3165
_cell_length_b 24.3165
_cell_length_c 24.3165
_cell_angle_alpha 90.00
_cell_angle_beta 90.00
_cell_angle_gamma 90.00
_symmetry_space_group_name_H-M 'F -4 3 m'
_symmetry_Int_Tables_number 216
_symmetry_space_group_name_Hall 'F -4 2 3'
loop_
_atom_site_label
_atom_site_fract_x
_atom_site_fract_y
_atom_site_fract_z
_atom_site_occupancy
Ba1 0.0000 0.0000 0.1840 1
Ba2 0.0534 0.2500 0.7500 1
Ba3 0.0958 0.0958 0.4042 1
Ba4 0.1576 0.1576 0.1576 1
Cd1 0.1239 0.1239 0.8761 1
Hg1 0.0000 0.0000 0.3253 1
Hg2 0.0050 0.1469 0.1469 1
Hg3 0.0331 0.1224 0.2634 1
Hg4 0.0458 0.0458 0.5458 1
Hg5 0.0463 0.1388 0.6388 1
Hg6 0.0494 0.0494 0.9506 1
Hg7 0.0736 0.0736 0.0736 1
Hg8 0.1002 0.1002 0.7602 1
Hg9 0.1181 0.2066 0.2934 1
Hg10 0.1738 0.1738 0.6738 1
Hg11 0.2012 0.2012 0.7988 1
Hg12 0.2500 0.2500 0.2500 1